(1)
VASP calculation (GGA-PBE) on a relaxed structure of HfMg14Cu.

extended XYZ file:
```
16
Lattice="10.0663 0.0000 0.0000 0.0000 3.1177 5.5063 0.0000 -3.1177 5.5063" Properties=species:S:1:pos:R:3 pbc="T T T"
Hf 0.0000 0.0000 0.0000
Mg 0.0000 -1.4943 2.7625
Mg 0.0000 1.4943 2.7625
Mg 2.3385 0.0000 7.1810
Mg 2.4337 -1.5511 4.5169
Mg 2.4337 1.5511 4.5169
Mg 2.5389 0.0000 1.7168
Mg 5.0331 0.0000 5.4232
Mg 5.0331 -1.5362 8.1774
Mg 5.0331 1.5362 8.1774
Mg 5.0331 0.0000 10.9038
Mg 7.5274 0.0000 1.7168
Mg 7.6326 -1.5511 4.5169
Mg 7.6326 1.5511 4.5169
Mg 7.7277 0.0000 7.1810
Cu 0.0000 0.0000 5.3209
```

ΔH_f (0 K), meV/atom: 59
Crystal system: orthorhombic
SG: Amm2
Size of the total moment, μB/f.u.: 0.0

=====

(2)
VASP calculation (GGA-PBE) on a relaxed structure of HfMg14CuO16.

extended XYZ file:
```
32
Lattice="8.6781 0.0000 0.0000 0.0000 8.6781 0.0000 0.0000 0.0000 4.2709" Properties=species:S:1:pos:R:3 pbc="T T T"
Hf 0.0000 0.0000 0.0000
Mg 0.0000 2.2715 2.1355
Mg 0.0000 4.3391 0.0000
Mg 0.0000 6.4066 2.1355
Mg 2.2195 4.3391 2.1355
Mg 2.2668 2.2668 0.0000
Mg 2.2668 6.4114 0.0000
Mg 2.2715 0.0000 2.1355
Mg 4.3391 0.0000 0.0000
Mg 4.3391 2.2195 2.1355
Mg 4.3391 6.4587 2.1355
Mg 6.4066 0.0000 2.1355
Mg 6.4114 2.2668 0.0000
Mg 6.4114 6.4114 0.0000
Mg 6.4587 4.3391 2.1355
Cu 4.3391 4.3391 0.0000
O 0.0000 0.0000 2.1355
O 0.0000 2.1399 0.0000
O 0.0000 4.3391 2.1355
O 0.0000 6.5382 0.0000
O 2.0077 4.3391 0.0000
O 2.1399 0.0000 0.0000
O 2.1564 2.1564 2.1355
O 2.1564 6.5217 2.1355
O 4.3391 0.0000 2.1355
O 4.3391 2.0077 0.0000
O 4.3391 4.3391 2.1355
O 4.3391 6.6704 0.0000
O 6.5217 2.1564 2.1355
O 6.5217 6.5217 2.1355
O 6.5382 0.0000 0.0000
O 6.6704 4.3391 0.0000
```

ΔH_f (0 K), meV/atom: -2875
Crystal system: tetragonal
SG: P4/mmm
Offset from the most stable computed form, meV/atom: 3
Size of the total moment, μB/f.u.: 0.7

=====

(3)
VASP calculation (GGA-PBE) on a relaxed structure of HfMg14CuO16.

extended XYZ file:
```
32
Lattice="4.2677 0.0000 0.0000 0.0000 8.6765 0.0000 0.0000 0.0000 8.7396" Properties=species:S:1:pos:R:3 pbc="T T T"
Hf 0.0000 0.0000 0.0000
Mg 0.0000 2.2072 2.2749
Mg 0.0000 2.2072 6.4647
Mg 0.0000 4.3383 0.0000
Mg 0.0000 4.3383 4.3698
Mg 0.0000 6.4693 2.2749
Mg 0.0000 6.4693 6.4647
Mg 2.1338 0.0000 2.3340
Mg 2.1338 0.0000 6.4056
Mg 2.1338 2.1584 4.3698
Mg 2.1338 2.2395 0.0000
Mg 2.1338 4.3383 2.2110
Mg 2.1338 4.3383 6.5286
Mg 2.1338 6.4370 0.0000
Mg 2.1338 6.5181 4.3698
Cu 0.0000 0.0000 4.3698
O 0.0000 0.0000 2.0439
O 0.0000 0.0000 6.6957
O 0.0000 2.1986 0.0000
O 0.0000 2.3186 4.3698
O 0.0000 4.3383 2.1483
O 0.0000 4.3383 6.5913
O 0.0000 6.3579 4.3698
O 0.0000 6.4779 0.0000
O 2.1338 0.0000 0.0000
O 2.1338 0.0000 4.3698
O 2.1338 2.1512 2.1781
O 2.1338 2.1512 6.5615
O 2.1338 4.3383 0.0000
O 2.1338 4.3383 4.3698
O 2.1338 6.5253 2.1781
O 2.1338 6.5253 6.5615
```

ΔH_f (0 K), meV/atom: -2878
Crystal system: orthorhombic
SG: Pmmm
Offset from the most stable computed form, meV/atom: 0
Size of the total moment, μB/f.u.: 0.0

=====

(4)
VASP calculation (GGA-PBE) on a relaxed structure of NaHf2CuSe5.

extended XYZ file:
```
18
Lattice="1.8969 -6.9739 0.0000 1.8969 6.9739 0.0000 0.0000 0.0000 16.2919" Properties=species:S:1:pos:R:3 pbc="T T T"
Na 1.8969 6.5017 12.2189
Na 1.8969 -6.5017 4.0730
Hf 1.8969 4.0535 1.6038
Hf 1.8969 4.0535 6.5422
Hf 1.8969 -4.0535 9.7497
Hf 1.8969 -4.0535 14.6881
Cu 1.8969 2.4751 12.2189
Cu 1.8969 -2.4751 4.0730
Se 1.8969 4.7448 9.1348
Se 1.8969 4.7448 15.3030
Se 1.8969 2.9146 4.0730
Se 1.8969 1.0829 10.2338
Se 1.8969 1.0829 14.2041
Se 1.8969 -1.0829 2.0878
Se 1.8969 -1.0829 6.0581
Se 1.8969 -2.9146 12.2189
Se 1.8969 -4.7448 0.9889
Se 1.8969 -4.7448 7.1571
```

ΔH_f (0 K), meV/atom: -1415
Crystal system: orthorhombic
SG: Cmcm
Size of the total moment, μB/f.u.: 0.0

=====

(5)
VASP calculation (GGA-PBE) on a relaxed structure of Hf2CuOs.

extended XYZ file:
```
16
Lattice="6.5071 0.0000 0.0000 0.0000 6.5071 0.0000 0.0000 0.0000 6.5071" Properties=species:S:1:pos:R:3 pbc="T T T"
Hf 1.6268 1.6268 1.6268
Hf 1.6268 1.6268 4.8803
Hf 1.6268 4.8803 1.6268
Hf 1.6268 4.8803 4.8803
Hf 4.8803 1.6268 1.6268
Hf 4.8803 1.6268 4.8803
Hf 4.8803 4.8803 1.6268
Hf 4.8803 4.8803 4.8803
Cu 0.0000 0.0000 0.0000
Cu 0.0000 3.2536 3.2536
Cu 3.2536 0.0000 3.2536
Cu 3.2536 3.2536 0.0000
Os 0.0000 0.0000 3.2536
Os 0.0000 3.2536 0.0000
Os 3.2536 0.0000 0.0000
Os 3.2536 3.2536 3.2536
```

ΔH_f (0 K), meV/atom: -428
Crystal system: cubic
SG: Fm-3m

=====

(6)
VASP calculation (GGA-PBE) on a relaxed structure of Hf4CuP.

extended XYZ file:
```
12
Lattice="6.4877 0.0000 0.0000 0.0000 6.4877 0.0000 0.0000 0.0000 5.2155" Properties=species:S:1:pos:R:3 pbc="T T T"
Hf 0.9970 2.2129 0.0000
Hf 0.9970 4.2748 2.6078
Hf 2.2129 0.9970 2.6078
Hf 2.2129 5.4907 0.0000
Hf 4.2748 0.9970 0.0000
Hf 4.2748 5.4907 2.6078
Hf 5.4907 2.2129 2.6078
Hf 5.4907 4.2748 0.0000
Cu 3.2439 3.2439 1.3039
Cu 3.2439 3.2439 3.9117
P 0.0000 0.0000 1.3039
P 0.0000 0.0000 3.9117
```

ΔH_f (0 K), meV/atom: -530
Crystal system: tetragonal
SG: P4/mcc
Size of the total moment, μB/f.u.: 0.0

=====

(7)
VASP calculation (GGA-PBE) on a relaxed structure of RbHfCu3Se4.

extended XYZ file:
```
9
Lattice="6.3086 0.0000 0.0000 0.0000 6.3086 0.0000 0.0000 0.0000 6.3086" Properties=species:S:1:pos:R:3 pbc="T T T"
Rb 0.0000 0.0000 0.0000
Hf 3.1543 3.1543 3.1543
Cu 0.0000 3.1543 3.1543
Cu 3.1543 0.0000 3.1543
Cu 3.1543 3.1543 0.0000
Se 1.7295 1.7295 4.5791
Se 1.7295 4.5791 1.7295
Se 4.5791 1.7295 1.7295
Se 4.5791 4.5791 4.5791
```

ΔH_f (0 K), meV/atom: -815
Crystal system: cubic
SG: P-43m
Size of the total moment, μB/f.u.: 0.0

=====

(8)
VASP calculation (GGA-PBE) on a relaxed structure of Hf2CuRe.

extended XYZ file:
```
16
Lattice="6.5283 0.0000 0.0000 0.0000 6.5283 0.0000 0.0000 0.0000 6.5283" Properties=species:S:1:pos:R:3 pbc="T T T"
Hf 1.6321 1.6321 1.6321
Hf 1.6321 1.6321 4.8963
Hf 1.6321 4.8963 1.6321
Hf 1.6321 4.8963 4.8963
Hf 4.8963 1.6321 1.6321
Hf 4.8963 1.6321 4.8963
Hf 4.8963 4.8963 1.6321
Hf 4.8963 4.8963 4.8963
Cu 0.0000 0.0000 0.0000
Cu 0.0000 3.2642 3.2642
Cu 3.2642 0.0000 3.2642
Cu 3.2642 3.2642 0.0000
Re 0.0000 0.0000 3.2642
Re 0.0000 3.2642 0.0000
Re 3.2642 0.0000 0.0000
Re 3.2642 3.2642 3.2642
```

ΔH_f (0 K), meV/atom: -292
Crystal system: cubic
SG: Fm-3m